First-principles (PBE+U) data for an optimized crystal structure of Ta6Mn2Zn3O20, as listed in the Materials Project.

Size of the total moment   10.0 Bohr magnetons per cell
Calculated formation energy   -2.8534 eV per atom

Lattice parameters (Å, degrees): 7.240 7.284 7.745 75.66 75.98 86.15
Space group P1 (No. 1)
Inequivalent atoms, fractional coordinates:
Ta 0.000 0.000 0.000
Ta 0.139 0.653 0.387
Ta 0.333 0.848 0.619
Ta 0.479 0.518 0.000
Ta 0.631 0.163 0.384
Ta 0.819 0.352 0.626
Mn 0.159 0.212 0.240
Mn 0.684 0.682 0.244
Zn 0.277 0.330 0.767
Zn 0.564 0.033 0.999
Zn 0.810 0.799 0.752
O 0.048 0.257 0.996
O 0.073 0.804 0.586
O 0.099 0.409 0.591
O 0.117 0.895 0.206
O 0.222 0.999 0.796
O 0.240 0.509 0.202
O 0.339 0.608 0.800
O 0.362 0.095 0.415
O 0.396 0.706 0.414
O 0.414 0.256 0.997
O 0.528 0.772 0.005
O 0.561 0.308 0.592
O 0.605 0.913 0.593
O 0.613 0.403 0.204
O 0.717 0.511 0.801
O 0.728 0.015 0.196
O 0.821 0.115 0.811
O 0.864 0.596 0.420
O 0.885 0.208 0.420
O 0.897 0.766 0.989

First-principles (PBE+U) data for an optimized crystal structure of Mn5Te3O18, as listed in the Materials Project.

Size of the total moment   68.0 Bohr magnetons per cell
Calculated formation energy   -1.5715 eV per atom

Lattice parameters (Å, degrees): 14.446 8.661 10.425 90.00 97.14 90.00
Space group C2/c (No. 15)
Inequivalent atoms, fractional coordinates:
Mn 0.000 0.168 0.250
Mn 0.155 0.324 0.037
Mn 0.158 0.159 0.771
Te 0.000 0.000 0.000
Te 0.163 0.491 0.291
O 0.064 0.157 0.420
O 0.075 0.009 0.674
O 0.089 0.334 0.190
O 0.090 0.156 0.939
O 0.097 0.338 0.702
O 0.099 0.498 0.437
O 0.232 0.316 0.883
O 0.239 0.149 0.641
O 0.240 0.475 0.140

First-principles (PBE+U) data for an optimized crystal structure of Mn2Te3O8, as listed in the Materials Project.

Calculated formation energy   -1.7346 eV per atom

Lattice parameters (Å, degrees): 13.105 5.508 12.055 90.00 97.82 90.00
Space group C2/c (No. 15)
Inequivalent atoms, fractional coordinates:
Mn 0.230 0.196 0.351
Te 0.000 0.135 0.750
Te 0.139 0.184 0.058
O 0.076 0.076 0.354
O 0.117 0.115 0.642
O 0.196 0.358 0.188
O 0.237 0.486 0.972